Ba14LiY7Cu20O42: optimized geometry, GGA-PBE.

Cell: 8.653 12.249 12.732 Å, 95.50 105.75 98.22°
Space group P1 (No. 1)
Inequivalent atoms, fractional coordinates:
Ba 0.000 0.000 0.000 x1
Ba 0.023 0.341 0.392 x1
Ba 0.141 0.712 0.000 x1
Ba 0.167 0.055 0.392 x1
Ba 0.282 0.427 0.998 x1
Ba 0.309 0.769 0.391 x1
Ba 0.427 0.141 0.998 x1
Ba 0.453 0.483 0.392 x1
Ba 0.571 0.856 0.001 x1
Ba 0.597 0.198 0.392 x1
Ba 0.712 0.570 0.998 x1
Ba 0.738 0.912 0.391 x1
Ba 0.857 0.284 0.998 x1
Ba 0.881 0.625 0.391 x1
Li 0.509 0.335 0.856 x1
Y 0.010 0.669 0.695 x1
Y 0.160 0.383 0.698 x1
Y 0.301 0.103 0.698 x1
Y 0.440 0.812 0.695 x1
Y 0.581 0.523 0.698 x1
Y 0.722 0.243 0.698 x1
Y 0.870 0.955 0.695 x1
Cu 0.067 0.188 0.824 x1
Cu 0.083 0.527 0.196 x1
Cu 0.098 0.865 0.563 x1
Cu 0.212 0.902 0.829 x1
Cu 0.226 0.241 0.197 x1
Cu 0.240 0.579 0.562 x1
Cu 0.353 0.617 0.825 x1
Cu 0.369 0.955 0.195 x1
Cu 0.381 0.293 0.557 x1
Cu 0.512 0.670 0.196 x1
Cu 0.526 0.008 0.562 x1
Cu 0.638 0.045 0.825 x1
Cu 0.652 0.383 0.191 x1
Cu 0.668 0.722 0.563 x1
Cu 0.782 0.761 0.829 x1
Cu 0.797 0.098 0.195 x1
Cu 0.813 0.436 0.564 x1
Cu 0.923 0.474 0.824 x1
Cu 0.939 0.812 0.195 x1
Cu 0.954 0.151 0.563 x1
O 0.004 0.834 0.344 x1
O 0.019 0.505 0.047 x1
O 0.032 0.010 0.576 x1
O 0.032 0.510 0.577 x1
O 0.131 0.544 0.817 x1
O 0.136 0.042 0.816 x1
O 0.147 0.548 0.345 x1
O 0.163 0.220 0.048 x1
O 0.174 0.724 0.575 x1
O 0.175 0.224 0.574 x1
O 0.273 0.256 0.813 x1
O 0.276 0.757 0.814 x1
O 0.290 0.262 0.345 x1
O 0.304 0.934 0.046 x1
O 0.317 0.437 0.574 x1
O 0.319 0.938 0.577 x1
O 0.417 0.476 0.813 x1
O 0.420 0.972 0.818 x1
O 0.432 0.977 0.344 x1
O 0.448 0.648 0.048 x1
O 0.459 0.153 0.574 x1
O 0.461 0.653 0.577 x1
O 0.564 0.183 0.813 x1
O 0.564 0.688 0.818 x1
O 0.575 0.691 0.344 x1
O 0.588 0.362 0.041 x1
O 0.602 0.366 0.574 x1
O 0.603 0.867 0.575 x1
O 0.705 0.902 0.814 x1
O 0.708 0.402 0.813 x1
O 0.716 0.405 0.340 x1
O 0.733 0.077 0.047 x1
O 0.745 0.081 0.577 x1
O 0.746 0.581 0.576 x1
O 0.848 0.618 0.816 x1
O 0.853 0.116 0.817 x1
O 0.861 0.119 0.344 x1
O 0.876 0.791 0.047 x1
O 0.889 0.296 0.576 x1
O 0.889 0.795 0.575 x1
O 0.991 0.830 0.815 x1
O 0.992 0.330 0.817 x1

***

BaLu2CuO5: optimized geometry, GGA-PBE.

Cell: 12.057 5.620 7.093 Å, 90.00 90.00 90.00°
Space group Pnma (No. 62)
Inequivalent atoms, fractional coordinates:
Ba 0.096 0.250 0.071 x4
Lu 0.074 0.750 0.398 x4
Lu 0.213 0.250 0.615 x4
Cu 0.161 0.750 0.783 x4
O 0.068 0.502 0.658 x8
O 0.102 0.750 0.090 x4
O 0.228 0.001 0.360 x8

***

Ba2LuCu3O7: optimized geometry, GGA-PBE.

Cell: 3.819 3.898 11.802 Å, 90.00 90.00 90.00°
Space group Pmmm (No. 47)
Inequivalent atoms, fractional coordinates:
Ba 0.000 0.000 0.182 x2
Lu 0.000 0.000 0.500 x1
Cu 0.500 0.500 0.000 x1
Cu 0.500 0.500 0.358 x2
O 0.000 0.500 0.384 x2
O 0.500 0.000 0.000 x1
O 0.500 0.000 0.384 x2
O 0.500 0.500 0.160 x2

***

| no. | energy relative to the elements (eV per atom) | final energy (Ry per atom) |
| --- | --- | --- |
| 1 | -2.26 | -0.4589 |
| 2 | -3.13 | -0.5272 |
| 3 | -2.20 | -0.4468 |